(1)
Computed, not measured: a relaxed Li crystal at the meta-GGA r2SCAN level of DFT.

- energy relative to the lowest polymorph listed for this composition (meV per atom) = 15.7
- DFT formation energy (eV per atom) = 0.02

Geometry as CIF:
```
data_Li
_chemical_formula_sum 'Li3'
_cell_length_a 4.9489
_cell_length_b 4.9489
_cell_length_c 2.8888
_cell_angle_alpha 90.00
_cell_angle_beta 90.00
_cell_angle_gamma 120.00
_space_group_name_H-M_alt 'P 6/m m m'
_space_group_IT_number 191
_space_group_name_Hall '-P 6 2'
loop_
_atom_site_label
_atom_site_type_symbol
_atom_site_fract_x
_atom_site_fract_y
_atom_site_fract_z
Li1 Li 0.0000 0.0000 0.0000
Li2 Li 0.3333 0.6667 0.5000
```

(2)
Computed, not measured: a relaxed Li crystal at the meta-GGA r2SCAN level of DFT.

- energy relative to the lowest polymorph listed for this composition (meV per atom) = 5.9
- DFT formation energy (eV per atom) = 0.01

Geometry as CIF:
```
data_Li
_chemical_formula_sum 'Li4'
_cell_length_a 3.0344
_cell_length_b 3.0344
_cell_length_c 10.2162
_cell_angle_alpha 90.00
_cell_angle_beta 90.00
_cell_angle_gamma 120.00
_space_group_name_H-M_alt 'P 63/m m c'
_space_group_IT_number 194
_space_group_name_Hall '-P 6c 2c'
loop_
_atom_site_label
_atom_site_type_symbol
_atom_site_fract_x
_atom_site_fract_y
_atom_site_fract_z
Li1 Li 0.0000 0.0000 0.0000
Li2 Li 0.3333 0.6667 0.2500
```

(3)
Computed, not measured: a relaxed LiLu2Pt crystal at the meta-GGA r2SCAN level of DFT.

- DFT formation energy (eV per atom) = -0.82

Geometry as CIF:
```
data_LiLu2Pt
_chemical_formula_sum 'Li4 Lu8 Pt4'
_cell_length_a 6.832
_cell_length_b 6.832
_cell_length_c 6.832
_cell_angle_alpha 90.00
_cell_angle_beta 90.00
_cell_angle_gamma 90.00
_space_group_name_H-M_alt 'F m -3 m'
_space_group_IT_number 225
_space_group_name_Hall '-F 4 2 3'
loop_
_atom_site_label
_atom_site_type_symbol
_atom_site_fract_x
_atom_site_fract_y
_atom_site_fract_z
Li1 Li 0.000 0.000 0.000
Lu1 Lu 0.250 0.250 0.250
Pt1 Pt 0.000 0.000 0.500
```

Repeat the first record exactly.
Computed, not measured: a relaxed Li crystal at the meta-GGA r2SCAN level of DFT.

- energy relative to the lowest polymorph listed for this composition (meV per atom) = 15.7
- DFT formation energy (eV per atom) = 0.02

Geometry as CIF:
```
data_Li
_chemical_formula_sum 'Li3'
_cell_length_a 4.9489
_cell_length_b 4.9489
_cell_length_c 2.8888
_cell_angle_alpha 90.00
_cell_angle_beta 90.00
_cell_angle_gamma 120.00
_space_group_name_H-M_alt 'P 6/m m m'
_space_group_IT_number 191
_space_group_name_Hall '-P 6 2'
loop_
_atom_site_label
_atom_site_type_symbol
_atom_site_fract_x
_atom_site_fract_y
_atom_site_fract_z
Li1 Li 0.0000 0.0000 0.0000
Li2 Li 0.3333 0.6667 0.5000
```